Record 1
VASP calculation (PBE+U) on an optimized crystal structure of Li5V3P8O29.

## Properties
Space group = P1 (1)
V = 13.12 Å³ per atom
Raw total energy = -632.70 eV/cell
Relative energy among the computed polymorphs = 3 meV/atom

Lattice parameters (Å, degrees): 9.7999 9.8240 14.1355 89.90 89.42 60.22
Closest atoms and distances in Å follow each position.
Sites, in units of the cell vectors:
Li (0.0000, 0.0000, 0.0000)  4 O 1.94-2.14
Li (0.0051, 0.1340, 0.4997)  3 O 1.94-2.09
Li (0.1054, 0.8112, 0.3809)  3 O 1.96-2.08
Li (0.2368, 0.2213, 0.3748)  3 O 2.01-2.04
Li (0.2885, 0.9600, 0.9392)  2 O 1.95-1.97
Li (0.4181, 0.5853, 0.4959)  3 O 1.88-2.09
Li (0.5524, 0.9869, 0.4959)  3 O 1.90-2.04
Li (0.5585, 0.5837, 0.0040)  4 O 1.93-2.16
Li (0.6508, 0.2331, 0.8323)  1 O 1.85
Li (0.6589, 0.8078, 0.8822)  4 O 1.97-2.18
V (0.3251, 0.4702, 0.6963)  6 O 1.86-2.06
V (0.3292, 0.3374, 0.1812)  6 O 1.87-2.02
V (0.7586, 0.9049, 0.6861)  6 O 1.84-2.04
V (0.7600, 0.4702, 0.1904)  6 O 1.90-2.00
V (0.8947, 0.9035, 0.1873)  6 O 1.84-2.00
V (0.8981, 0.3420, 0.6902)  6 O 1.81-1.96
P (0.0051, 0.1363, 0.2835)  4 O 1.51-1.61
P (0.0080, 0.0005, 0.7808)  4 O 1.49-1.62
P (0.0997, 0.8164, 0.6004)  4 O 1.50-1.61
P (0.1017, 0.2138, 0.1017)  4 O 1.49-1.62
P (0.2434, 0.2238, 0.5967)  4 O 1.50-1.61
P (0.2444, 0.6841, 0.0980)  4 O 1.50-1.63
P (0.4130, 0.5836, 0.2797)  4 O 1.50-1.61
P (0.4137, 0.1237, 0.7808)  4 O 1.48-1.62
P (0.5572, 0.5880, 0.7837)  4 O 1.50-1.60
P (0.5568, 0.9958, 0.2789)  4 O 1.48-1.62
P (0.6412, 0.6741, 0.5988)  4 O 1.48-1.62
P (0.6438, 0.8162, 0.0979)  4 O 1.49-1.61
P (0.6609, 0.2403, 0.5708)  4 O 1.49-1.59
P (0.6667, 0.2345, 0.0679)  4 O 1.51-1.60
P (0.9887, 0.5745, 0.8111)  4 O 1.48-1.61
P (0.9947, 0.5729, 0.3057)  4 O 1.49-1.63
O (0.0711, 0.8257, 0.0998)  1 P 1.57
O (0.0751, 0.2422, 0.6003)  1 P 1.57
O (0.0815, 0.1437, 0.3740)  1 P 1.51
O (0.0837, 0.9063, 0.5112)  1 P 1.50
O (0.0917, 0.9310, 0.8708)  1 P 1.49
O (0.1173, 0.9066, 0.6908)  2 P 1.61-1.62
O (0.1178, 0.1079, 0.0214)  1 P 1.49
O (0.1240, 0.1170, 0.1987)  2 P 1.61-1.62
O (0.1410, 0.5687, 0.7679)  1 P 1.58
O (0.1446, 0.4221, 0.2693)  1 P 1.56
O (0.2321, 0.3821, 0.6150)  1 P 1.53
O (0.2364, 0.2523, 0.1035)  1 P 1.54
O (0.2450, 0.6527, 0.6011)  1 P 1.53
O (0.2459, 0.5282, 0.1030)  1 P 1.53
O (0.3135, 0.7050, 0.1978)  2 P 1.61-1.63
O (0.3252, 0.1466, 0.5055)  1 P 1.50
O (0.3301, 0.1038, 0.8624)  1 P 1.48
O (0.3301, 0.6546, 0.3717)  1 P 1.50
O (0.3335, 0.7072, 0.0190)  1 P 1.50
O (0.3373, 0.1087, 0.6828)  2 P 1.61-1.62
O (0.4094, 0.1602, 0.2750)  1 P 1.54
O (0.4180, 0.5595, 0.7823)  1 P 1.52
O (0.4199, 0.4266, 0.2582)  1 P 1.54
O (0.4276, 0.2749, 0.7748)  1 P 1.56
O (0.5115, 0.3863, 0.6158)  1 P 1.58
O (0.5249, 0.2254, 0.1084)  1 P 1.54
O (0.5380, 0.9041, 0.1896)  2 P 1.61-1.62
O (0.5410, 0.6977, 0.6955)  2 P 1.60-1.62
O (0.5566, 0.6625, 0.5161)  1 P 1.48
O (0.5673, 0.8942, 0.0075)  1 P 1.49
O (0.5681, 0.6660, 0.8725)  1 P 1.50
O (0.5719, 0.9140, 0.3696)  1 P 1.48
O (0.5804, 0.5597, 0.2718)  1 P 1.54
O (0.5874, 0.9828, 0.7754)  1 P 1.57
O (0.6561, 0.0908, 0.6080)  1 P 1.58
O (0.6564, 0.3907, 0.1021)  1 P 1.56
O (0.6632, 0.8201, 0.5974)  1 P 1.55
O (0.6656, 0.2431, 0.4656)  1 P 1.49
O (0.6677, 0.6488, 0.1020)  1 P 1.54
O (0.6831, 0.2223, 0.9615)  1 P 1.51
O (0.7095, 0.0046, 0.2560)  1 P 1.57
O (0.7096, 0.4249, 0.7665)  1 P 1.57
O (0.8019, 0.5236, 0.6173)  1 P 1.56
O (0.8026, 0.8143, 0.1139)  1 P 1.57
O (0.8113, 0.2391, 0.6127)  1 P 1.59
O (0.8228, 0.0879, 0.1086)  1 P 1.60
O (0.8403, 0.7207, 0.7722)  1 P 1.56
O (0.8452, 0.0138, 0.7690)  1 P 1.55
O (0.8456, 0.2793, 0.2641)  1 P 1.52
O (0.8500, 0.5728, 0.2627)  1 P 1.55
O (0.9421, 0.3658, 0.1097)  1 P 1.54
O (0.9473, 0.8089, 0.6209)  1 P 1.56
O (0.9849, 0.5640, 0.9153)  1 P 1.48
O (0.9856, 0.1682, 0.7683)  1 P 1.56
O (0.9906, 0.4265, 0.7610)  1 P 1.61
O (0.9925, 0.9839, 0.2791)  1 P 1.56
O (0.9949, 0.5948, 0.4099)  1 P 1.49
O (0.9968, 0.7236, 0.2587)  1 P 1.63

---

Record 2
VASP calculation (PBE+U) on an optimized crystal structure of Li2V5P4O16.

## Properties
Space group = P-1 (2)
V = 11.98 Å³ per atom
Raw total energy = -199.29 eV/cell
Relative energy among the computed polymorphs = 0 meV/atom

Lattice parameters (Å, degrees): 5.2562 8.1079 8.2731 109.83 92.43 100.88
Closest atoms and distances in Å follow each position.
Sites, in units of the cell vectors:
Li (0.1320, 0.0731, 0.3007)  2 O 2.00-2.11
Li (0.8680, 0.9269, 0.6993)  2 O 2.00-2.11
V (0.1480, 0.4100, 0.6811)  5 O 2.06-2.24
V (0.4091, 0.7497, 0.2259)  6 O 2.11-2.25
V (0.5000, 0.0000, 0.0000)  6 O 2.18-2.22
V (0.5909, 0.2503, 0.7741)  6 O 2.11-2.25
V (0.8520, 0.5900, 0.3189)  5 O 2.06-2.24
P (0.1097, 0.2941, 0.0401)  4 O 1.54-1.56
P (0.3519, 0.7937, 0.5686)  4 O 1.51-1.58
P (0.6481, 0.2063, 0.4314)  4 O 1.51-1.58
P (0.8903, 0.7059, 0.9599)  4 O 1.54-1.56
O (0.1527, 0.4870, 0.1765)  1 P 1.55
O (0.1603, 0.8237, 0.4335)  1 P 1.58
O (0.1887, 0.7830, 0.0193)  1 P 1.56
O (0.2222, 0.6369, 0.6166)  1 P 1.51
O (0.2255, 0.1694, 0.1129)  1 P 1.54
O (0.2445, 0.3062, 0.8788)  1 P 1.56
O (0.3952, 0.2356, 0.5209)  1 P 1.57
O (0.4172, 0.9697, 0.7298)  1 P 1.56
O (0.5828, 0.0303, 0.2702)  1 P 1.56
O (0.6048, 0.7644, 0.4791)  1 P 1.57
O (0.7555, 0.6938, 0.1212)  1 P 1.56
O (0.7745, 0.8306, 0.8871)  1 P 1.54
O (0.7778, 0.3631, 0.3834)  1 P 1.51
O (0.8113, 0.2170, 0.9807)  1 P 1.56
O (0.8397, 0.1763, 0.5665)  1 P 1.58
O (0.8473, 0.5130, 0.8235)  1 P 1.55

---

Number 1: formation energy from the elements -2.617 eV/atom. Number 2: formation energy from the elements -2.545 eV/atom.